Record 1
This record from the Materials Project database describes a relaxed structure of Mg6NbAlO8. The functional is PBE.

POSCAR file:
```
Mg6NbAlO8
1.0
-6.739 2.909 4.626
-0.042 -3.698 2.264
2.731 1.736 2.886
Mg Nb Al O
6 1 1 8
Direct
0.500 0.000 0.000 Mg
0.500 0.500 0.500 Mg
0.254 0.000 0.500 Mg
0.746 0.000 0.500 Mg
0.254 0.500 0.000 Mg
0.746 0.500 0.000 Mg
0.000 0.500 0.500 Nb
0.000 0.000 0.000 Al
0.245 0.000 0.000 O
0.755 0.000 0.000 O
0.265 0.500 0.500 O
0.735 0.500 0.500 O
0.000 0.000 0.500 O
0.500 0.000 0.500 O
0.000 0.500 0.000 O
0.500 0.500 0.000 O
```

Results
Energy relative to the lowest polymorph listed for this composition (kJ/mol of atoms): 2.8
Space-group type: P4/mmm
E_form (eV/atom): -2.581

***

Record 2
This record from the Materials Project database describes a relaxed structure of Na2MgS2O12. The functional is PBE.

POSCAR file:
```
Na2MgS2O12
1.0
8.747 0.000 0.000
0.000 5.120 0.000
0.000 1.630 11.344
Na Mg S O
4 2 4 24
Direct
0.430 0.120 0.138 Na
0.930 0.880 0.362 Na
0.570 0.880 0.862 Na
0.070 0.120 0.638 Na
0.500 0.000 0.500 Mg
0.000 0.000 0.000 Mg
0.211 0.375 0.360 S
0.711 0.625 0.140 S
0.789 0.625 0.640 S
0.289 0.375 0.860 S
0.216 0.333 0.233 O
0.716 0.667 0.267 O
0.784 0.667 0.767 O
0.284 0.333 0.733 O
0.086 0.229 0.425 O
0.586 0.771 0.075 O
0.914 0.771 0.575 O
0.414 0.229 0.925 O
0.361 0.303 0.417 O
0.861 0.697 0.083 O
0.639 0.697 0.583 O
0.139 0.303 0.917 O
0.185 0.665 0.354 O
0.685 0.335 0.146 O
0.815 0.335 0.646 O
0.315 0.665 0.854 O
0.494 0.919 0.332 O
0.994 0.081 0.168 O
0.506 0.081 0.668 O
0.006 0.919 0.832 O
0.693 0.110 0.401 O
0.193 0.890 0.099 O
0.307 0.890 0.599 O
0.807 0.110 0.901 O
```

Results
Energy relative to the lowest polymorph listed for this composition (kJ/mol of atoms): 15.7
Space-group type: P2_1/c
E_form (eV/atom): -1.300

***

Record 3
This record from the Materials Project database describes a relaxed structure of KFeBr3. The functional is PBE.

POSCAR file:
```
KFeBr3
1.0
4.066 0.000 0.000
0.000 9.526 0.000
0.000 0.000 15.077
K Fe Br
4 4 12
Direct
0.750 0.549 0.825 K
0.750 0.049 0.675 K
0.250 0.451 0.175 K
0.250 0.951 0.325 K
0.750 0.338 0.450 Fe
0.250 0.162 0.950 Fe
0.250 0.662 0.550 Fe
0.750 0.838 0.050 Fe
0.750 0.236 0.296 Br
0.750 0.319 0.007 Br
0.250 0.264 0.796 Br
0.250 0.519 0.403 Br
0.250 0.764 0.704 Br
0.750 0.981 0.903 Br
0.250 0.019 0.097 Br
0.750 0.736 0.204 Br
0.250 0.181 0.507 Br
0.750 0.819 0.493 Br
0.250 0.681 0.993 Br
0.750 0.481 0.597 Br
```

Results
Space-group type: Pnma
E_form (eV/atom): -1.275

***

Record 4
This record from the Materials Project database describes a relaxed structure of EuEr2S4. The functional is PBE.

POSCAR file:
```
EuEr2S4
1.0
-4.211 4.211 4.184
4.211 -4.211 4.184
4.211 4.211 -4.184
Eu Er S
2 4 8
Direct
0.750 0.250 0.500 Eu
0.500 0.500 0.000 Eu
0.002 0.375 0.127 Er
0.248 0.875 0.873 Er
0.625 0.752 0.627 Er
0.125 0.998 0.373 Er
0.889 0.637 0.402 S
0.361 0.263 0.248 S
0.234 0.487 0.598 S
0.887 0.639 0.902 S
0.363 0.766 0.252 S
0.513 0.111 0.748 S
0.737 0.984 0.098 S
0.016 0.113 0.752 S
```

Results
Energy relative to the lowest polymorph listed for this composition (kJ/mol of atoms): 6.3
Space-group type: I-42d
E_form (eV/atom): -2.344

***

Record 5
This record from the Materials Project database describes a relaxed structure of Sr2Li7CuN4. The functional is PBE.

POSCAR file:
```
Sr2Li7CuN4
1.0
-1.872 1.928 13.646
1.872 -1.928 13.646
1.872 1.928 -13.646
Sr Li Cu N
2 7 1 4
Direct
0.125 0.125 0.000 Sr
0.374 0.874 0.500 Sr
0.480 0.980 0.500 Li
0.228 0.228 0.000 Li
0.023 0.023 0.000 Li
0.271 0.771 0.500 Li
0.696 0.696 0.000 Li
0.553 0.553 0.000 Li
0.803 0.303 0.500 Li
0.945 0.445 0.500 Cu
0.193 0.693 0.500 N
0.943 0.943 0.000 N
0.307 0.307 0.000 N
0.558 0.058 0.500 N
```

Results
Space-group type: Imm2
Piezoelectric modulus e_max (C/m2): 0.24
E_form (eV/atom): -0.524

***

Record 6
This record from the Materials Project database describes a relaxed structure of MgV2S4. The functional is PBE.

POSCAR file:
```
MgV2S4
1.0
4.347 -5.065 -2.888
-0.472 -6.903 2.239
-2.763 -5.075 -4.416
Mg V S
2 4 8
Direct
0.750 0.750 0.750 Mg
0.500 0.500 0.500 Mg
0.125 0.625 0.125 V
0.125 0.125 0.625 V
0.625 0.125 0.125 V
0.125 0.125 0.125 V
0.886 0.341 0.886 S
0.364 0.364 0.909 S
0.364 0.364 0.364 S
0.909 0.364 0.364 S
0.886 0.886 0.886 S
0.341 0.886 0.886 S
0.364 0.909 0.364 S
0.886 0.886 0.341 S
```

Results
Energy relative to the lowest polymorph listed for this composition (kJ/mol of atoms): 0.1
Space-group type: Fd-3m
E_form (eV/atom): -1.271

***

Record 7
This record from the Materials Project database describes a relaxed structure of SbIrXeF12. The functional is PBE.

POSCAR file:
```
SbIrXeF12
1.0
10.830 3.086 0.000
-10.830 3.086 0.000
0.000 0.019 8.253
Sb Ir Xe F
2 2 2 24
Direct
0.285 0.451 0.030 Sb
0.451 0.285 0.530 Sb
0.378 0.871 0.965 Ir
0.871 0.378 0.465 Ir
0.967 0.777 0.030 Xe
0.777 0.967 0.530 Xe
0.352 0.343 0.045 F
0.343 0.352 0.545 F
0.517 0.678 0.876 F
0.678 0.517 0.376 F
0.041 0.239 0.179 F
0.239 0.041 0.679 F
0.077 0.254 0.857 F
0.254 0.077 0.357 F
0.477 0.660 0.203 F
0.660 0.477 0.703 F
0.215 0.577 0.008 F
0.577 0.215 0.508 F
0.394 0.843 0.745 F
0.843 0.394 0.245 F
0.340 0.878 0.183 F
0.878 0.340 0.683 F
0.658 0.036 0.007 F
0.036 0.658 0.507 F
0.520 0.138 0.924 F
0.138 0.520 0.424 F
0.077 0.691 0.924 F
0.691 0.077 0.424 F
0.860 0.839 0.125 F
0.839 0.860 0.625 F
```

Results
Space-group type: Cc
E_form (eV/atom): -1.932

***

Record 8
This record from the Materials Project database describes a relaxed structure of Rb2PtI5O2. The functional is PBE.

POSCAR file:
```
Rb2PtI5O2
1.0
1.518 3.165 7.191
-5.357 -5.943 0.138
8.958 -8.036 1.646
Rb Pt I O
4 2 10 4
Direct
0.467 0.912 0.260 Rb
0.088 0.533 0.760 Rb
0.533 0.088 0.760 Rb
0.912 0.467 0.260 Rb
0.971 0.971 0.531 Pt
0.029 0.029 0.031 Pt
0.275 0.275 0.483 I
0.673 0.673 0.592 I
0.327 0.327 0.092 I
0.725 0.725 0.983 I
0.156 0.760 0.507 I
0.240 0.844 0.007 I
0.760 0.156 0.507 I
0.844 0.240 0.007 I
0.945 0.945 0.266 I
0.055 0.055 0.766 I
0.466 0.251 0.183 O
0.749 0.534 0.683 O
0.534 0.749 0.683 O
0.251 0.466 0.183 O
```

Results
Space-group type: Cmc2_1
E_form (eV/atom): -0.788

***

The evaluated density for the records listed, in turn: 4.008 2.134 3.806 6.880 2.895 3.107 4.053 4.823 Mg/m³.